(1)
Computed, not measured: a relaxed structure of TiCdO3 at the PBE level of DFT.

uncorrected energy: -139.13 eV/cell
energy of formation: -2.64 eV/atom
total moment: 0.0 Bohr magnetons per cell

abc: 5.487 7.718 5.370
angles: 90.00 90.00 90.00
Space group Pnma (No. 62)
Symmetry-distinct sites (fractional):
Ti 0.000 0.000 0.000 (multiplicity 4)
Cd 0.039 0.250 0.491 (multiplicity 4)
O 0.028 0.750 0.089 (multiplicity 4)
O 0.204 0.547 0.701 (multiplicity 8)



(2)
Computed, not measured: a relaxed structure of UCd3O6 at the PBE level of DFT.

uncorrected energy: -124.89 eV/cell
energy of formation: -2.28 eV/atom

abc: 5.708 5.830 10.134
angles: 90.00 123.36 90.00
Space group P2_1/c (No. 14)
Symmetry-distinct sites (fractional):
U 0.000 0.000 0.000 (multiplicity 2)
Cd 0.251 0.042 0.752 (multiplicity 4)
Cd 0.500 0.000 0.500 (multiplicity 2)
O 0.084 0.201 0.423 (multiplicity 4)
O 0.246 0.673 0.441 (multiplicity 4)
O 0.357 0.084 0.235 (multiplicity 4)



(3)
Computed, not measured: a relaxed structure of UCd2O5 at the PBE level of DFT.

uncorrected energy: -218.07 eV/cell
energy of formation: -2.51 eV/atom
total moment: 0.0 Bohr magnetons per cell

abc: 11.544 5.381 8.216
angles: 90.00 109.54 90.00
Space group C2/c (No. 15)
Symmetry-distinct sites (fractional):
U 0.000 0.000 0.000 (multiplicity 4)
Cd 0.166 0.462 0.318 (multiplicity 8)
O 0.000 0.194 0.250 (multiplicity 4)
O 0.113 0.255 0.979 (multiplicity 8)
O 0.155 0.227 0.625 (multiplicity 8)



(4)
Computed, not measured: a relaxed structure of ZnCdO2 at the PBE level of DFT.

uncorrected energy: -16.80 eV/cell
energy of formation: -1.52 eV/atom
total moment: 0.0 Bohr magnetons per cell

abc: 3.4464 3.4464 5.7053
angles: 90.00 90.00 120.00
Space group P3m1 (No. 156)
Symmetry-distinct sites (fractional):
Zn 0.0000 0.0000 0.0000 (multiplicity 1)
Cd 0.6667 0.3333 0.4935 (multiplicity 1)
O 0.0000 0.0000 0.6537 (multiplicity 1)
O 0.6667 0.3333 0.1011 (multiplicity 1)



(5)
Computed, not measured: a relaxed structure of Cd3Os at the PBE level of DFT.

uncorrected energy: -24.12 eV/cell
energy of formation: 0.48 eV/atom
total moment: 0.0 Bohr magnetons per cell

abc: 5.9819 5.9819 4.8594
angles: 90.00 90.00 120.00
Space group P6_3/mmc (No. 194)
Symmetry-distinct sites (fractional):
Cd 0.1725 0.3450 0.2500 (multiplicity 6)
Os 0.3333 0.6667 0.7500 (multiplicity 2)



(6)
Computed, not measured: a relaxed structure of CdPOs2 at the PBE level of DFT.

uncorrected energy: -101.14 eV/cell
energy of formation: 0.88 eV/atom
total moment: 0.0 Bohr magnetons per cell

abc: 6.312 6.312 6.312
angles: 90.00 90.00 90.00
Space group F-43m (No. 216)
Symmetry-distinct sites (fractional):
Cd 0.000 0.000 0.000 (multiplicity 4)
P 0.250 0.250 0.750 (multiplicity 4)
Os 0.000 0.000 0.500 (multiplicity 4)
Os 0.250 0.250 0.250 (multiplicity 4)



(7)
Computed, not measured: a relaxed structure of Cd7P10 at the PBE level of DFT.

relative energy among the computed polymorphs: 0.000 eV per atom
uncorrected energy: -494.48 eV/cell
energy of formation: -0.07 eV/atom

abc: 23.302 27.917 4.691
angles: 90.00 90.00 90.00
Space group Fdd2 (No. 43)
Symmetry-distinct sites (fractional):
Cd 0.000 0.000 0.023 (multiplicity 8)
Cd 0.003 0.201 0.500 (multiplicity 16)
Cd 0.117 0.288 0.681 (multiplicity 16)
Cd 0.119 0.418 0.304 (multiplicity 16)
P 0.034 0.134 0.858 (multiplicity 16)
P 0.036 0.064 0.654 (multiplicity 16)
P 0.042 0.436 0.886 (multiplicity 16)
P 0.044 0.370 0.632 (multiplicity 16)
P 0.083 0.248 0.222 (multiplicity 16)



(8)
Computed, not measured: a relaxed structure of Cd3P at the PBE level of DFT.

uncorrected energy: -7.30 eV/cell
energy of formation: 0.22 eV/atom
total moment: 0.0 Bohr magnetons per cell

abc: 4.394 4.394 4.394
angles: 90.00 90.00 90.00
Space group Pm-3m (No. 221)
Symmetry-distinct sites (fractional):
Cd 0.000 0.000 0.500 (multiplicity 3)
P 0.500 0.500 0.500 (multiplicity 1)



Question: Which formula does entry 4 have?
Answer: ZnCdO2



Question: Which of these has the highest uncorrected energy?
Answer: Cd3P